[1]
Entry from the Materials Project database: a geometry-optimized Sb3O7 structure (GGA-PBE).

a = 7.2777 Å, b = 7.3116 Å, c = 10.5912 Å
α = 90.00°, β = 90.00°, γ = 90.00°
Space group Imma (No. 74)
Symmetry-distinct sites (fractional):
Sb: 0.0000 0.0000 0.0000
Sb: 0.0000 0.0000 0.5000
Sb: 0.2500 0.2500 0.2500
O: 0.0000 0.2500 0.1844
O: 0.0000 0.2500 0.5680
O: 0.0000 0.2500 0.9250
O: 0.2178 0.0550 0.3825

Values from the calculation:
Calculated density (g/cm³): 5.63
Energy relative to the lowest polymorph listed for this composition (meV/atom): 0
Energy of formation from the pure elements (eV/atom): -1.6964
Crystal system: orthorhombic

=====

[2]
Entry from the Materials Project database: a geometry-optimized Sb3O8 structure (GGA-PBE).

a = 9.5648 Å, b = 8.9857 Å, c = 13.8106 Å
α = 90.00°, β = 133.44°, γ = 90.00°
Space group P2/c (No. 13)
Symmetry-distinct sites (fractional):
Sb: 0.0000 0.1927 0.2500
Sb: 0.2428 0.1472 0.7505
Sb: 0.2459 0.3483 0.9987
Sb: 0.2539 0.4923 0.2536
Sb: 0.2681 0.0054 0.5184
O: 0.0336 0.0106 0.1648
O: 0.0478 0.3345 0.6625
O: 0.0587 0.3367 0.1740
O: 0.2078 0.1493 0.5925
O: 0.2136 0.4935 0.0907
O: 0.2279 0.1742 0.0765
O: 0.2655 0.1608 0.4175
O: 0.2676 0.1668 0.9102
O: 0.2695 0.5001 0.4074
O: 0.4157 0.3255 0.8233
O: 0.4502 0.0007 0.8409
O: 0.4701 0.3516 0.3494

Values from the calculation:
Calculated density (g/cm³): 5.70
Energy of formation from the pure elements (eV/atom): -1.6157
Crystal system: monoclinic

=====

[3]
Entry from the Materials Project database: a geometry-optimized Sb3O14 structure (GGA-PBE).

a = 5.8560 Å, b = 14.9433 Å, c = 5.8639 Å
α = 90.00°, β = 108.27°, γ = 90.00°
Space group P2_1/m (No. 11)
Symmetry-distinct sites (fractional):
Sb: 0.0000 0.0000 0.0000
Sb: 0.3484 0.0707 0.6130
O: 0.0697 0.1266 0.0213
O: 0.1319 0.7500 0.0044
O: 0.1471 0.1526 0.3954
O: 0.2203 0.5124 0.7916
O: 0.3146 0.5215 0.3249
O: 0.3410 0.2500 0.8263
O: 0.3610 0.7088 0.5907
O: 0.4892 0.1745 0.8754

Values from the calculation:
Calculated density (g/cm³): 4.02
Energy relative to the lowest polymorph listed for this composition (meV/atom): 0
Energy of formation from the pure elements (eV/atom): -0.2179
Crystal system: monoclinic

=====

[4]
Entry from the Materials Project database: a geometry-optimized SbO4 structure (GGA-PBE).

a = 7.3298 Å, b = 7.3906 Å, c = 10.4584 Å
α = 90.00°, β = 90.00°, γ = 90.00°
Space group Imma (No. 74)
Symmetry-distinct sites (fractional):
Sb: 0.0000 0.0000 0.0000
Sb: 0.2500 0.2500 0.2500
O: 0.0000 0.2500 0.3243
O: 0.0000 0.2500 0.6265
O: 0.0000 0.2500 0.9276
O: 0.2000 0.0514 0.1246
O: 0.2500 0.2500 0.7500

Values from the calculation:
Calculated density (g/cm³): 4.36
Energy of formation from the pure elements (eV/atom): -0.7360
Crystal system: orthorhombic

=====

[5]
Entry from the Materials Project database: a geometry-optimized Sb3O14 structure (GGA-PBE).

a = 5.7105 Å, b = 14.9815 Å, c = 5.7585 Å
α = 90.00°, β = 106.57°, γ = 90.00°
Space group P2_1/m (No. 11)
Symmetry-distinct sites (fractional):
Sb: 0.0000 0.0000 0.0000
Sb: 0.4008 0.0808 0.6367
O: 0.0286 0.6307 0.0252
O: 0.0894 0.1752 0.5435
O: 0.1128 0.7500 0.8419
O: 0.1508 0.2500 0.6853
O: 0.2217 0.5007 0.7847
O: 0.3076 0.0076 0.3179
O: 0.4091 0.6514 0.0819
O: 0.4536 0.6740 0.5220

Values from the calculation:
Calculated density (g/cm³): 4.14
Energy relative to the lowest polymorph listed for this composition (meV/atom): 165
Energy of formation from the pure elements (eV/atom): -0.0529
Crystal system: monoclinic

=====

[6]
Entry from the Materials Project database: a geometry-optimized Sb26O53 structure (GGA-PBE).

a = 4.9798 Å, b = 5.5402 Å, c = 39.9768 Å
α = 92.69°, β = 93.03°, γ = 90.08°
Space group P1 (No. 1)
Symmetry-distinct sites (fractional):
Sb: 0.0000 0.0000 0.0000
Sb: 0.0006 0.5954 0.9264
Sb: 0.0778 0.8125 0.1486
Sb: 0.1016 0.6736 0.2913
Sb: 0.1578 0.2252 0.2226
Sb: 0.1745 0.7908 0.3663
Sb: 0.2043 0.3230 0.4141
Sb: 0.2527 0.4927 0.6265
Sb: 0.2641 0.0748 0.5546
Sb: 0.3298 0.8946 0.7022
Sb: 0.4154 0.2936 0.7777
Sb: 0.4160 0.0972 0.9246
Sb: 0.4172 0.6953 0.8511
Sb: 0.4994 0.5000 0.0000
Sb: 0.5773 0.7394 0.2222
Sb: 0.5801 0.3144 0.1491
Sb: 0.5819 0.9039 0.0751
Sb: 0.6504 0.8465 0.4347
Sb: 0.6611 0.1870 0.2992
Sb: 0.7350 0.1975 0.4959
Sb: 0.7418 0.5962 0.5544
Sb: 0.8304 0.3948 0.7022
Sb: 0.8308 0.7953 0.7754
Sb: 0.8352 0.9980 0.6293
Sb: 0.9165 0.1951 0.8511
Sb: 0.9964 0.4045 0.0737
O: 0.0172 0.3380 0.5338
O: 0.0480 0.1169 0.7201
O: 0.1012 0.2538 0.8979
O: 0.1142 0.1562 0.6003
O: 0.1183 0.4731 0.8336
O: 0.1280 0.6175 0.7200
O: 0.1376 0.9385 0.9535
O: 0.1462 0.8380 0.6556
O: 0.2005 0.9742 0.8335
O: 0.2159 0.7214 0.0179
O: 0.2496 0.8743 0.1961
O: 0.2719 0.0986 0.1323
O: 0.2793 0.7554 0.8978
O: 0.2997 0.2214 0.0178
O: 0.3155 0.4402 0.9534
O: 0.3204 0.5686 0.2533
O: 0.3714 0.5982 0.1317
O: 0.3909 0.8162 0.3214
O: 0.3992 0.5267 0.3826
O: 0.4079 0.0269 0.3935
O: 0.4300 0.0231 0.5112
O: 0.4448 0.0658 0.2527
O: 0.4538 0.7964 0.5741
O: 0.4564 0.3819 0.1964
O: 0.5151 0.9523 0.7490
O: 0.5327 0.1717 0.6845
O: 0.5425 0.3163 0.5731
O: 0.5547 0.6355 0.8046
O: 0.5918 0.2223 0.4483
O: 0.5946 0.5228 0.5077
O: 0.6137 0.6734 0.6847
O: 0.6344 0.4174 0.8690
O: 0.6832 0.5613 0.0468
O: 0.6923 0.4539 0.7488
O: 0.7000 0.7786 0.9825
O: 0.7139 0.2489 0.1023
O: 0.7155 0.9177 0.8689
O: 0.7313 0.1374 0.8044
O: 0.7843 0.2793 0.9825
O: 0.7851 0.0266 0.1661
O: 0.8590 0.4244 0.2700
O: 0.8612 0.0627 0.0467
O: 0.8888 0.5282 0.1659
O: 0.8994 0.2305 0.3778
O: 0.8992 0.7508 0.1018
O: 0.9171 0.9565 0.2764
O: 0.9348 0.6439 0.6001
O: 0.9357 0.8845 0.5410
O: 0.9449 0.9513 0.4734
O: 0.9477 0.5850 0.3329
O: 0.9512 0.7574 0.4056
O: 0.9685 0.3353 0.6557
O: 0.9817 0.0923 0.3482

Values from the calculation:
Calculated density (g/cm³): 6.06
Energy relative to the lowest polymorph listed for this composition (meV/atom): 4
Energy of formation from the pure elements (eV/atom): -1.4032
Crystal system: triclinic

=====

[7]
Entry from the Materials Project database: a geometry-optimized Sb2O7 structure (GGA-PBE).

a = 7.4476 Å, b = 10.4351 Å, c = 7.3627 Å
α = 90.00°, β = 90.00°, γ = 90.00°
Space group Ima2 (No. 46)
Symmetry-distinct sites (fractional):
Sb: 0.0000 0.0000 0.0000
Sb: 0.2500 0.2474 0.2495
O: 0.0522 0.1259 0.8016
O: 0.0542 0.1230 0.1968
O: 0.2500 0.1774 0.5008
O: 0.2500 0.5750 0.4960
O: 0.2500 0.7050 0.2843

Values from the calculation:
Calculated density (g/cm³): 4.13
Energy of formation from the pure elements (eV/atom): -1.0245
Crystal system: orthorhombic

=====

[8]
Entry from the Materials Project database: a geometry-optimized Sb5O14 structure (GGA-PBE).

a = 5.6109 Å, b = 16.8895 Å, c = 5.6262 Å
α = 90.00°, β = 106.76°, γ = 90.00°
Space group P2_1/m (No. 11)
Symmetry-distinct sites (fractional):
Sb: 0.0000 0.0000 0.0000
Sb: 0.2296 0.1395 0.7674
Sb: 0.3862 0.5790 0.6137
O: 0.0143 0.1145 0.9878
O: 0.0670 0.6335 0.5291
O: 0.1761 0.2500 0.8236
O: 0.1781 0.7500 0.9167
O: 0.2273 0.0104 0.7749
O: 0.3109 0.0002 0.3105
O: 0.4469 0.1525 0.5541
O: 0.4704 0.6345 0.9339

Values from the calculation:
Calculated density (g/cm³): 5.42
Energy of formation from the pure elements (eV/atom): -1.4951
Crystal system: monoclinic

=====

[9]
Entry from the Materials Project database: a geometry-optimized Sb3O7 structure (GGA-PBE).

a = 7.6351 Å, b = 11.3953 Å, c = 6.6082 Å
α = 90.00°, β = 90.00°, γ = 90.00°
Space group Imma (No. 74)
Symmetry-distinct sites (fractional):
Sb: 0.2500 0.0354 0.2500
Sb: 0.2500 0.2500 0.7500
O: 0.0000 0.0740 0.2171
O: 0.0000 0.2500 0.8056
O: 0.2274 0.1085 0.5553

Values from the calculation:
Calculated density (g/cm³): 5.51
Energy relative to the lowest polymorph listed for this composition (meV/atom): 34
Energy of formation from the pure elements (eV/atom): -1.6629
Crystal system: orthorhombic

=====

Copy entry 7 word for word.
Entry from the Materials Project database: a geometry-optimized Sb2O7 structure (GGA-PBE).

a = 7.4476 Å, b = 10.4351 Å, c = 7.3627 Å
α = 90.00°, β = 90.00°, γ = 90.00°
Space group Ima2 (No. 46)
Symmetry-distinct sites (fractional):
Sb: 0.0000 0.0000 0.0000
Sb: 0.2500 0.2474 0.2495
O: 0.0522 0.1259 0.8016
O: 0.0542 0.1230 0.1968
O: 0.2500 0.1774 0.5008
O: 0.2500 0.5750 0.4960
O: 0.2500 0.7050 0.2843

Values from the calculation:
Calculated density (g/cm³): 4.13
Energy of formation from the pure elements (eV/atom): -1.0245
Crystal system: orthorhombic

=====

Which of these has the lowest calculated density? number 3

=====

What is the calculated density in the eighth record? 5.42 g/cm³